# Be2RhAu

A geometry-optimized Be2RhAu structure (meta-GGA r2SCAN, the Materials Project database).

a b c (Å): 5.6809 5.6809 5.6809
angles (deg): 90.00 90.00 90.00
Closest atoms and distances in Å follow each position.
Space group Fm-3m (No. 225)
One atom of each set of equivalent atoms:
Be  0.2500  0.2500  0.2500 (multiplicity 8)  4 Rh 2.46, 4 Au 2.46
Rh  0.0000  0.0000  0.0000 (multiplicity 4)  8 Be 2.46
Au  0.0000  0.0000  0.5000 (multiplicity 4)  8 Be 2.46

Summary:
Calculated volume = 11.5 Å³ per atom
Energy of formation from the pure elements = -0.436 eV/atom


# BiAu2

A geometry-optimized BiAu2 structure (meta-GGA r2SCAN, the Materials Project database).

a b c (Å): 8.0265 8.0265 8.0265
angles (deg): 90.00 90.00 90.00
Closest atoms and distances in Å follow each position.
Space group Fd-3m (No. 227, origin choice 2)
One atom of each set of equivalent atoms:
Bi  0.1250  0.1250  0.1250 (multiplicity 8)  12 Au 3.33, 4 Bi 3.48
Au  0.0000  0.0000  0.5000 (multiplicity 16)  6 Au 2.84

Summary:
Calculated volume = 21.5 Å³ per atom
Energy of formation from the pure elements = 0.001 eV/atom


# Er5BiAu2

A geometry-optimized Er5BiAu2 structure (meta-GGA r2SCAN, the Materials Project database).

a b c (Å): 8.0241 8.0241 12.9504
angles (deg): 90.00 90.00 90.00
Closest atoms and distances in Å follow each position.
Space group I4/mcm (No. 140)
One atom of each set of equivalent atoms:
Er  0.0000  0.0000  0.0000 (multiplicity 4)  4 Au 3.11, 2 Bi 3.24
Er  0.1538  0.3462  0.1394 (multiplicity 16)  3 Au 2.96-2.97
Bi  0.0000  0.0000  0.2500 (multiplicity 4)  10 Er 3.24-3.36
Au  0.1385  0.3615  0.5000 (multiplicity 8)  8 Er 2.96-3.11, 1 Au 3.14

Summary:
Calculated volume = 26.1 Å³ per atom
Energy of formation from the pure elements = -0.799 eV/atom


# EuBiAu2

A geometry-optimized EuBiAu2 structure (meta-GGA r2SCAN, the Materials Project database).

a b c (Å): 7.2805 7.2805 7.2805
angles (deg): 90.00 90.00 90.00
Closest atoms and distances in Å follow each position.
Space group Fm-3m (No. 225)
One atom of each set of equivalent atoms:
Eu  0.0000  0.0000  0.0000 (multiplicity 4)  8 Au 3.15
Bi  0.0000  0.0000  0.5000 (multiplicity 4)  8 Au 3.15
Au  0.2500  0.2500  0.2500 (multiplicity 8)  4 Bi 3.15, 4 Eu 3.15

Summary:
Calculated volume = 24.1 Å³ per atom
Energy of formation from the pure elements = -0.592 eV/atom


# EuBiAu

A geometry-optimized EuBiAu structure (meta-GGA r2SCAN, the Materials Project database).

a b c (Å): 4.8460 4.8460 8.3014
angles (deg): 90.00 90.00 120.00
Closest atoms and distances in Å follow each position.
Space group P6_3mc (No. 186)
One atom of each set of equivalent atoms:
Eu  0.0000  0.0000  0.0000 (multiplicity 2)  3 Au 3.26, 6 Bi 3.39-3.58
Bi  0.3333  0.6667  0.2304 (multiplicity 2)  3 Au 2.85
Au  0.3333  0.6667  0.7976 (multiplicity 2)  3 Bi 2.85

Summary:
Calculated volume = 28.1 Å³ per atom
Energy of formation from the pure elements = -0.826 eV/atom


# La3Bi4Au3

A geometry-optimized La3Bi4Au3 structure (meta-GGA r2SCAN, the Materials Project database).

a b c (Å): 10.3925 10.3925 10.3925
angles (deg): 90.00 90.00 90.00
Closest atoms and distances in Å follow each position.
Space group I-43d (No. 220)
One atom of each set of equivalent atoms:
La  0.0000  0.2500  0.8750 (multiplicity 12)  4 Au 3.18, 4 Bi 3.56
Bi  0.0868  0.4132  0.5868 (multiplicity 16)  3 Au 2.92
Au  0.0000  0.2500  0.3750 (multiplicity 12)  4 Bi 2.92, 4 La 3.18

Summary:
Calculated volume = 28.1 Å³ per atom
Energy of formation from the pure elements = -0.946 eV/atom


# Na2BiAu

A geometry-optimized Na2BiAu structure (meta-GGA r2SCAN, the Materials Project database).

a b c (Å): 9.4458 7.5931 6.0018
angles (deg): 90.00 90.00 90.00
Closest atoms and distances in Å follow each position.
Space group Cmcm (No. 63)
One atom of each set of equivalent atoms:
Na  0.1779  0.1787  0.2500 (multiplicity 8)  4 Bi 3.20-3.44, 2 Au 3.32, 3 Na 3.36-3.47
Bi  0.0000  0.1930  0.7500 (multiplicity 4)  2 Au 2.77
Au  0.0000  0.5000  0.0000 (multiplicity 4)  2 Bi 2.77, 2 Au 3.00

Summary:
Calculated volume = 26.9 Å³ per atom
Energy of formation from the pure elements = -0.445 eV/atom


# PmBiAu2

A geometry-optimized PmBiAu2 structure (meta-GGA r2SCAN, the Materials Project database).

a b c (Å): 7.2428 7.2428 7.2428
angles (deg): 90.00 90.00 90.00
Closest atoms and distances in Å follow each position.
Space group Fm-3m (No. 225)
One atom of each set of equivalent atoms:
Pm  0.0000  0.0000  0.0000 (multiplicity 4)  8 Au 3.14
Bi  0.0000  0.0000  0.5000 (multiplicity 4)  8 Au 3.14
Au  0.2500  0.2500  0.2500 (multiplicity 8)  4 Bi 3.14, 4 Pm 3.14

Summary:
Calculated volume = 23.7 Å³ per atom
Energy of formation from the pure elements = -0.652 eV/atom